# 1
{"formula": "Na14Zn5Sn3P12O48", "functional": "PBE", "state": "relaxed", "lattice": [[9.040, 0.000, 0.000], [0.033, 15.647, 0.000], [0.040, 0.036, 22.017]], "species": ["Na", "Na", "Na", "Na", "Na", "Na", "Na", "Na", "Na", "Na", "Na", "Na", "Na", "Na", "Na", "Na", "Na", "Na", "Na", "Na", "Na", "Na", "Na", "Na", "Na", "Na", "Na", "Na", "Na", "Na", "Na", "Na", "Na", "Na", "Na", "Na", "Na", "Na", "Na", "Na", "Na", "Na", "Zn", "Zn", "Zn", "Zn", "Zn", "Zn", "Zn", "Zn", "Zn", "Zn", "Zn", "Zn", "Zn", "Zn", "Zn", "Sn", "Sn", "Sn", "Sn", "Sn", "Sn", "Sn", "Sn", "Sn", "P", "P", "P", "P", "P", "P", "P", "P", "P", "P", "P", "P", "P", "P", "P", "P", "P", "P", "P", "P", "P", "P", "P", "P", "P", "P", "P", "P", "P", "P", "P", "P", "P", "P", "P", "P", "O", "O", "O", "O", "O", "O", "O", "O", "O", "O", "O", "O", "O", "O", "O", "O", "O", "O", "O", "O", "O", "O", "O", "O", "O", "O", "O", "O", "O", "O", "O", "O", "O", "O", "O", "O", "O", "O", "O", "O", "O", "O", "O", "O", "O", "O", "O", "O", "O", "O", "O", "O", "O", "O", "O", "O", "O", "O", "O", "O", "O", "O", "O", "O", "O", "O", "O", "O", "O", "O", "O", "O", "O", "O", "O", "O", "O", "O", "O", "O", "O", "O", "O", "O", "O", "O", "O", "O", "O", "O", "O", "O", "O", "O", "O", "O", "O", "O", "O", "O", "O", "O", "O", "O", "O", "O", "O", "O", "O", "O", "O", "O", "O", "O", "O", "O", "O", "O", "O", "O", "O", "O", "O", "O", "O", "O", "O", "O", "O", "O", "O", "O", "O", "O", "O", "O", "O", "O", "O", "O", "O", "O", "O", "O"], "frac_coords": [[0.000, 0.000, 0.000], [0.000, 0.333, 0.334], [0.014, 0.294, 0.673], [0.016, 0.667, 0.673], [0.020, 0.967, 0.335], [0.021, 0.633, 0.001], [0.138, 0.470, 0.831], [0.143, 0.794, 0.173], [0.154, 0.500, 0.501], [0.158, 0.830, 0.832], [0.189, 0.140, 0.831], [0.194, 0.807, 0.500], [0.204, 0.481, 0.173], [0.324, 0.301, 0.248], [0.328, 0.314, 0.748], [0.328, 0.994, 0.414], [0.333, 0.974, 0.916], [0.334, 0.654, 0.086], [0.342, 0.646, 0.586], [0.455, 0.481, 0.673], [0.497, 0.831, 0.331], [0.499, 0.500, 0.001], [0.514, 0.794, 0.673], [0.516, 0.167, 0.673], [0.516, 0.470, 0.332], [0.521, 0.134, 0.001], [0.636, 0.302, 0.168], [0.638, 0.970, 0.831], [0.641, 0.667, 0.173], [0.653, 0.001, 0.501], [0.658, 0.330, 0.832], [0.689, 0.640, 0.831], [0.692, 0.975, 0.168], [0.693, 0.306, 0.502], [0.822, 0.486, 0.416], [0.827, 0.813, 0.248], [0.828, 0.814, 0.748], [0.833, 0.474, 0.916], [0.842, 0.147, 0.586], [0.846, 0.156, 0.081], [0.956, 0.981, 0.673], [0.969, 0.640, 0.332], [0.321, 0.310, 0.104], [0.326, 0.312, 0.602], [0.328, 0.981, 0.767], [0.329, 0.647, 0.242], [0.329, 0.648, 0.742], [0.331, 0.651, 0.935], [0.331, 0.985, 0.269], [0.336, 0.646, 0.435], [0.826, 0.812, 0.102], [0.826, 0.813, 0.602], [0.828, 0.480, 0.767], [0.828, 0.481, 0.268], [0.829, 0.148, 0.742], [0.831, 0.151, 0.934], [0.834, 0.147, 0.437], [0.325, 0.313, 0.907], [0.325, 0.983, 0.570], [0.329, 0.310, 0.405], [0.329, 0.981, 0.072], [0.825, 0.482, 0.570], [0.825, 0.814, 0.907], [0.827, 0.813, 0.406], [0.830, 0.147, 0.238], [0.830, 0.477, 0.071], [0.030, 0.314, 0.507], [0.030, 0.648, 0.840], [0.031, 0.982, 0.173], [0.123, 0.148, 0.339], [0.125, 0.481, 0.671], [0.126, 0.815, 0.007], [0.177, 0.795, 0.339], [0.178, 0.462, 0.007], [0.179, 0.129, 0.673], [0.180, 0.164, 0.006], [0.180, 0.832, 0.671], [0.182, 0.497, 0.339], [0.474, 0.497, 0.839], [0.474, 0.832, 0.173], [0.475, 0.164, 0.507], [0.478, 0.129, 0.172], [0.478, 0.461, 0.506], [0.479, 0.795, 0.837], [0.529, 0.815, 0.507], [0.530, 0.148, 0.839], [0.530, 0.481, 0.172], [0.625, 0.981, 0.672], [0.626, 0.314, 0.007], [0.626, 0.648, 0.337], [0.676, 0.295, 0.340], [0.676, 0.963, 0.007], [0.679, 0.629, 0.673], [0.679, 0.663, 0.007], [0.680, 0.332, 0.672], [0.680, 0.998, 0.341], [0.974, 0.997, 0.839], [0.975, 0.664, 0.506], [0.976, 0.331, 0.174], [0.977, 0.629, 0.172], [0.978, 0.962, 0.507], [0.979, 0.295, 0.837], [0.000, 0.804, 0.343], [0.004, 0.472, 0.009], [0.008, 0.137, 0.675], [0.010, 0.823, 0.666], [0.013, 0.484, 0.334], [0.014, 0.148, 0.000], [0.025, 0.133, 0.394], [0.026, 0.169, 0.281], [0.026, 0.495, 0.613], [0.027, 0.468, 0.727], [0.027, 0.833, 0.948], [0.029, 0.804, 0.063], [0.122, 0.306, 0.564], [0.123, 0.666, 0.782], [0.124, 0.636, 0.897], [0.124, 0.996, 0.113], [0.128, 0.331, 0.448], [0.128, 0.970, 0.229], [0.143, 0.324, 0.166], [0.143, 0.984, 0.835], [0.144, 0.653, 0.500], [0.147, 0.636, 0.173], [0.152, 0.966, 0.508], [0.154, 0.304, 0.844], [0.197, 0.740, 0.282], [0.203, 0.408, 0.947], [0.204, 0.069, 0.617], [0.208, 0.888, 0.727], [0.209, 0.550, 0.396], [0.215, 0.219, 0.060], [0.216, 0.233, 0.343], [0.218, 0.901, 0.009], [0.221, 0.069, 0.331], [0.221, 0.562, 0.673], [0.222, 0.736, 0.999], [0.223, 0.400, 0.666], [0.240, 0.754, 0.396], [0.241, 0.886, 0.334], [0.244, 0.419, 0.062], [0.245, 0.552, 0.001], [0.247, 0.089, 0.730], [0.251, 0.218, 0.666], [0.251, 0.874, 0.613], [0.254, 0.201, 0.946], [0.254, 0.535, 0.282], [0.254, 0.743, 0.674], [0.257, 0.405, 0.344], [0.261, 0.073, 0.009], [0.398, 0.876, 0.117], [0.399, 0.405, 0.844], [0.401, 0.743, 0.175], [0.402, 0.535, 0.782], [0.403, 0.205, 0.449], [0.406, 0.072, 0.508], [0.406, 0.549, 0.498], [0.407, 0.753, 0.892], [0.413, 0.419, 0.562], [0.414, 0.084, 0.226], [0.415, 0.887, 0.833], [0.421, 0.220, 0.166], [0.423, 0.739, 0.500], [0.426, 0.071, 0.835], [0.430, 0.233, 0.844], [0.432, 0.401, 0.166], [0.433, 0.900, 0.508], [0.436, 0.563, 0.174], [0.445, 0.550, 0.897], [0.447, 0.217, 0.564], [0.448, 0.887, 0.230], [0.456, 0.403, 0.448], [0.461, 0.074, 0.112], [0.463, 0.742, 0.779], [0.503, 0.306, 0.342], [0.503, 0.974, 0.008], [0.509, 0.637, 0.675], [0.510, 0.323, 0.666], [0.514, 0.648, 0.000], [0.514, 0.982, 0.334], [0.526, 0.995, 0.613], [0.527, 0.332, 0.948], [0.527, 0.634, 0.392], [0.527, 0.968, 0.728], [0.529, 0.304, 0.063], [0.539, 0.667, 0.278], [0.623, 0.166, 0.782], [0.623, 0.806, 0.563], [0.624, 0.136, 0.897], [0.626, 0.832, 0.448], [0.629, 0.467, 0.227], [0.630, 0.495, 0.113], [0.643, 0.484, 0.835], [0.644, 0.154, 0.500], [0.644, 0.824, 0.166], [0.652, 0.465, 0.508], [0.654, 0.804, 0.844], [0.655, 0.134, 0.175], [0.702, 0.909, 0.947], [0.704, 0.241, 0.280], [0.705, 0.569, 0.616], [0.708, 0.388, 0.727], [0.713, 0.714, 0.064], [0.714, 0.049, 0.397], [0.719, 0.400, 0.008], [0.722, 0.062, 0.674], [0.722, 0.235, 0.999], [0.723, 0.900, 0.666], [0.725, 0.733, 0.343], [0.732, 0.571, 0.333], [0.742, 0.252, 0.395], [0.743, 0.920, 0.062], [0.744, 0.385, 0.334], [0.745, 0.052, 0.001], [0.748, 0.589, 0.730], [0.751, 0.374, 0.613], [0.752, 0.718, 0.666], [0.754, 0.243, 0.674], [0.755, 0.704, 0.949], [0.756, 0.038, 0.282], [0.760, 0.573, 0.008], [0.761, 0.907, 0.342], [0.894, 0.372, 0.118], [0.895, 0.242, 0.176], [0.899, 0.905, 0.844], [0.902, 0.035, 0.782], [0.905, 0.572, 0.508], [0.905, 0.718, 0.166], [0.906, 0.050, 0.500], [0.907, 0.253, 0.892], [0.907, 0.704, 0.447], [0.908, 0.586, 0.228], [0.912, 0.919, 0.562], [0.915, 0.387, 0.833], [0.922, 0.240, 0.500], [0.926, 0.571, 0.835], [0.927, 0.063, 0.175], [0.929, 0.732, 0.844], [0.931, 0.902, 0.167], [0.934, 0.400, 0.507], [0.944, 0.718, 0.562], [0.945, 0.050, 0.897], [0.946, 0.383, 0.232], [0.949, 0.571, 0.113], [0.956, 0.904, 0.448], [0.963, 0.243, 0.779]]}

=====

# 2
{"formula": "Na8Zn3SnP6O24", "functional": "PBE", "state": "relaxed", "lattice": [[9.096, 0.000, 0.000], [-4.548, 7.878, 0.000], [0.000, 0.000, 21.835]], "species": ["Na", "Na", "Na", "Na", "Na", "Na", "Na", "Na", "Na", "Na", "Na", "Na", "Na", "Na", "Na", "Na", "Na", "Na", "Na", "Na", "Na", "Na", "Na", "Na", "Zn", "Zn", "Zn", "Zn", "Zn", "Zn", "Zn", "Zn", "Zn", "Sn", "Sn", "Sn", "P", "P", "P", "P", "P", "P", "P", "P", "P", "P", "P", "P", "P", "P", "P", "P", "P", "P", "O", "O", "O", "O", "O", "O", "O", "O", "O", "O", "O", "O", "O", "O", "O", "O", "O", "O", "O", "O", "O", "O", "O", "O", "O", "O", "O", "O", "O", "O", "O", "O", "O", "O", "O", "O", "O", "O", "O", "O", "O", "O", "O", "O", "O", "O", "O", "O", "O", "O", "O", "O", "O", "O", "O", "O", "O", "O", "O", "O", "O", "O", "O", "O", "O", "O", "O", "O", "O", "O", "O", "O"], "frac_coords": [[0.000, 0.000, 0.073], [0.000, 0.000, 0.574], [0.000, 0.626, 0.329], [0.002, 0.373, 0.841], [0.036, 0.348, 0.155], [0.042, 0.694, 0.664], [0.306, 0.348, 0.664], [0.312, 0.964, 0.155], [0.320, 0.021, 0.489], [0.333, 0.667, 0.244], [0.333, 0.667, 0.754], [0.334, 0.300, 0.000], [0.371, 0.998, 0.841], [0.374, 0.374, 0.329], [0.626, 0.000, 0.329], [0.627, 0.629, 0.841], [0.652, 0.688, 0.155], [0.652, 0.958, 0.664], [0.667, 0.333, 0.405], [0.667, 0.333, 0.920], [0.700, 0.034, 0.000], [0.701, 0.680, 0.489], [0.966, 0.666, 0.000], [0.979, 0.299, 0.489], [0.000, 0.000, 0.426], [0.000, 0.000, 0.930], [0.333, 0.667, 0.090], [0.333, 0.667, 0.400], [0.333, 0.667, 0.592], [0.333, 0.667, 0.907], [0.667, 0.333, 0.068], [0.667, 0.333, 0.258], [0.667, 0.333, 0.767], [0.000, 0.000, 0.232], [0.000, 0.000, 0.733], [0.667, 0.333, 0.566], [0.000, 0.701, 0.831], [0.001, 0.299, 0.333], [0.033, 0.367, 0.998], [0.033, 0.663, 0.500], [0.298, 0.999, 0.333], [0.299, 0.298, 0.831], [0.334, 0.967, 0.998], [0.337, 0.369, 0.500], [0.366, 0.331, 0.167], [0.367, 0.037, 0.667], [0.631, 0.967, 0.500], [0.633, 0.666, 0.998], [0.669, 0.035, 0.167], [0.669, 0.633, 0.667], [0.701, 0.702, 0.333], [0.702, 0.000, 0.831], [0.963, 0.331, 0.667], [0.965, 0.634, 0.167], [0.007, 0.819, 0.496], [0.015, 0.188, 0.994], [0.029, 0.212, 0.275], [0.030, 0.810, 0.769], [0.112, 0.631, 0.443], [0.115, 0.475, 0.939], [0.135, 0.685, 0.559], [0.142, 0.452, 0.055], [0.142, 0.486, 0.660], [0.146, 0.660, 0.162], [0.161, 0.686, 0.833], [0.164, 0.476, 0.335], [0.173, 0.985, 0.994], [0.181, 0.188, 0.496], [0.183, 0.164, 0.170], [0.183, 0.971, 0.275], [0.186, 0.023, 0.668], [0.190, 0.219, 0.769], [0.207, 0.181, 0.885], [0.215, 0.025, 0.391], [0.309, 0.858, 0.055], [0.312, 0.836, 0.335], [0.314, 0.475, 0.833], [0.315, 0.449, 0.559], [0.340, 0.486, 0.162], [0.343, 0.858, 0.660], [0.360, 0.885, 0.939], [0.369, 0.481, 0.443], [0.445, 0.150, 0.607], [0.446, 0.299, 0.110], [0.469, 0.353, 0.226], [0.475, 0.160, 0.328], [0.475, 0.313, 0.826], [0.478, 0.123, 0.722], [0.495, 0.147, 0.002], [0.504, 0.353, 0.503], [0.514, 0.657, 0.660], [0.514, 0.854, 0.162], [0.519, 0.888, 0.443], [0.524, 0.688, 0.335], [0.525, 0.640, 0.939], [0.525, 0.839, 0.833], [0.548, 0.691, 0.055], [0.551, 0.865, 0.559], [0.645, 0.522, 0.722], [0.647, 0.115, 0.226], [0.647, 0.151, 0.503], [0.651, 0.505, 0.002], [0.684, 0.525, 0.328], [0.687, 0.162, 0.826], [0.701, 0.147, 0.110], [0.704, 0.555, 0.607], [0.781, 0.970, 0.769], [0.788, 0.817, 0.275], [0.810, 0.785, 0.391], [0.812, 0.827, 0.994], [0.812, 0.993, 0.496], [0.819, 0.025, 0.885], [0.836, 0.019, 0.170], [0.837, 0.814, 0.668], [0.838, 0.525, 0.826], [0.840, 0.316, 0.328], [0.849, 0.496, 0.503], [0.850, 0.296, 0.607], [0.853, 0.349, 0.002], [0.853, 0.554, 0.110], [0.877, 0.355, 0.722], [0.885, 0.531, 0.226], [0.975, 0.190, 0.391], [0.975, 0.793, 0.885], [0.977, 0.163, 0.668], [0.981, 0.817, 0.170]]}

=====

# 3
{"formula": "Na3ZnSnP3O12", "functional": "PBE", "state": "relaxed", "lattice": [[12.943, 0.000, -8.631], [0.000, 9.025, 0.000], [-0.188, 0.000, 8.905]], "species": ["Na", "Na", "Na", "Na", "Na", "Na", "Na", "Na", "Na", "Na", "Na", "Na", "Zn", "Zn", "Zn", "Zn", "Sn", "Sn", "Sn", "Sn", "P", "P", "P", "P", "P", "P", "P", "P", "P", "P", "P", "P", "O", "O", "O", "O", "O", "O", "O", "O", "O", "O", "O", "O", "O", "O", "O", "O", "O", "O", "O", "O", "O", "O", "O", "O", "O", "O", "O", "O", "O", "O", "O", "O", "O", "O", "O", "O", "O", "O", "O", "O", "O", "O", "O", "O", "O", "O", "O", "O"], "frac_coords": [[0.251, 0.726, 0.984], [0.751, 0.774, 0.484], [0.751, 0.226, 0.984], [0.251, 0.274, 0.484], [0.504, 0.112, 0.749], [0.504, 0.888, 0.249], [0.004, 0.612, 0.749], [0.004, 0.388, 0.249], [0.183, 0.942, 0.287], [0.183, 0.058, 0.787], [0.683, 0.442, 0.287], [0.683, 0.558, 0.787], [0.099, 0.751, 0.553], [0.099, 0.249, 0.053], [0.599, 0.251, 0.553], [0.599, 0.749, 0.053], [0.897, 0.757, 0.947], [0.897, 0.243, 0.447], [0.397, 0.257, 0.947], [0.397, 0.743, 0.447], [0.999, 0.951, 0.759], [0.999, 0.049, 0.259], [0.499, 0.451, 0.759], [0.499, 0.549, 0.259], [0.353, 0.902, 0.762], [0.648, 0.892, 0.749], [0.648, 0.108, 0.249], [0.353, 0.098, 0.262], [0.853, 0.402, 0.762], [0.148, 0.392, 0.749], [0.148, 0.608, 0.249], [0.853, 0.598, 0.262], [0.154, 0.560, 0.743], [0.847, 0.579, 0.756], [0.847, 0.421, 0.256], [0.154, 0.440, 0.243], [0.654, 0.060, 0.743], [0.347, 0.079, 0.756], [0.347, 0.921, 0.256], [0.654, 0.940, 0.243], [0.433, 0.548, 0.582], [0.564, 0.543, 0.932], [0.564, 0.457, 0.432], [0.433, 0.452, 0.082], [0.933, 0.048, 0.582], [0.064, 0.043, 0.932], [0.064, 0.957, 0.432], [0.933, 0.952, 0.082], [0.257, 0.843, 0.750], [0.740, 0.812, 0.753], [0.740, 0.188, 0.253], [0.257, 0.157, 0.250], [0.757, 0.343, 0.750], [0.240, 0.312, 0.753], [0.240, 0.688, 0.253], [0.757, 0.657, 0.250], [0.350, 0.870, 0.583], [0.647, 0.842, 0.910], [0.647, 0.158, 0.410], [0.350, 0.130, 0.083], [0.850, 0.370, 0.583], [0.147, 0.342, 0.910], [0.147, 0.658, 0.410], [0.850, 0.630, 0.083], [0.455, 0.851, 0.935], [0.548, 0.829, 0.564], [0.548, 0.171, 0.064], [0.455, 0.149, 0.435], [0.955, 0.351, 0.935], [0.048, 0.329, 0.564], [0.048, 0.671, 0.064], [0.955, 0.649, 0.435], [0.076, 0.848, 0.749], [0.916, 0.848, 0.753], [0.916, 0.152, 0.253], [0.076, 0.152, 0.249], [0.576, 0.348, 0.749], [0.416, 0.348, 0.753], [0.416, 0.652, 0.253], [0.576, 0.652, 0.249]]}

=====

Let's list E_form in order: -2.48, -2.47, -2.48 eV/atom.
Let's list total magnetic moment in order: 0.000, 0.000, 0.000 μB per atom.
Let's list energy in order: -6.211, -6.115, -6.310 eV/atom.